1.
Entry from the Materials Project database: a relaxed structure of USbTe (GGA-PBE).

a = 4.315 Å, b = 4.315 Å, c = 9.098 Å
α = 90.00°, β = 90.00°, γ = 90.00°
Fractional coordinates of all 6 atoms:
U (0.000, 0.500, 0.729)
U (0.500, 0.000, 0.271)
Sb (0.000, 0.000, 0.000)
Sb (0.500, 0.500, 0.000)
Te (0.500, 0.000, 0.632)
Te (0.000, 0.500, 0.368)


2.
Entry from the Materials Project database: a relaxed structure of Mg4Nb2S9O36 (GGA-PBE).

a = 8.714 Å, b = 8.714 Å, c = 22.437 Å
α = 90.00°, β = 90.00°, γ = 120.00°
Fractional coordinates of all 102 atoms:
Mg (0.000, 0.000, 0.353)
Mg (0.000, 0.000, 0.853)
Mg (0.000, 0.000, 0.645)
Mg (0.000, 0.000, 0.145)
Mg (0.667, 0.333, 0.688)
Mg (0.667, 0.333, 0.188)
Mg (0.333, 0.667, 0.022)
Mg (0.333, 0.667, 0.522)
Nb (0.667, 0.333, 0.982)
Nb (0.667, 0.333, 0.482)
Nb (0.333, 0.667, 0.308)
Nb (0.333, 0.667, 0.808)
S (0.290, 0.009, 0.250)
S (0.719, 0.710, 0.250)
S (0.991, 0.281, 0.250)
S (0.290, 0.281, 0.750)
S (0.991, 0.710, 0.750)
S (0.719, 0.009, 0.750)
S (0.962, 0.335, 0.586)
S (0.373, 0.038, 0.586)
S (0.665, 0.627, 0.586)
S (0.962, 0.627, 0.086)
S (0.665, 0.038, 0.086)
S (0.373, 0.335, 0.086)
S (0.625, 0.672, 0.918)
S (0.047, 0.375, 0.918)
S (0.328, 0.953, 0.918)
S (0.625, 0.953, 0.418)
S (0.328, 0.375, 0.418)
S (0.047, 0.672, 0.418)
O (0.210, 0.028, 0.304)
O (0.819, 0.790, 0.304)
O (0.972, 0.181, 0.304)
O (0.210, 0.181, 0.804)
O (0.972, 0.790, 0.804)
O (0.819, 0.028, 0.804)
O (0.785, 0.963, 0.697)
O (0.178, 0.215, 0.697)
O (0.037, 0.822, 0.697)
O (0.785, 0.822, 0.197)
O (0.037, 0.215, 0.197)
O (0.178, 0.963, 0.197)
O (0.874, 0.364, 0.636)
O (0.490, 0.126, 0.636)
O (0.636, 0.510, 0.636)
O (0.874, 0.510, 0.136)
O (0.636, 0.126, 0.136)
O (0.490, 0.364, 0.136)
O (0.467, 0.305, 0.029)
O (0.839, 0.533, 0.029)
O (0.695, 0.161, 0.029)
O (0.467, 0.161, 0.529)
O (0.695, 0.533, 0.529)
O (0.839, 0.305, 0.529)
O (0.541, 0.695, 0.970)
O (0.155, 0.459, 0.970)
O (0.305, 0.845, 0.970)
O (0.541, 0.845, 0.470)
O (0.305, 0.459, 0.470)
O (0.155, 0.695, 0.470)
O (0.127, 0.635, 0.363)
O (0.508, 0.873, 0.363)
O (0.365, 0.492, 0.363)
O (0.127, 0.492, 0.863)
O (0.365, 0.873, 0.863)
O (0.508, 0.635, 0.863)
O (0.022, 0.822, 0.407)
O (0.800, 0.978, 0.407)
O (0.178, 0.200, 0.407)
O (0.022, 0.200, 0.907)
O (0.178, 0.978, 0.907)
O (0.800, 0.822, 0.907)
O (0.971, 0.173, 0.590)
O (0.202, 0.029, 0.590)
O (0.827, 0.798, 0.590)
O (0.971, 0.798, 0.090)
O (0.827, 0.029, 0.090)
O (0.202, 0.173, 0.090)
O (0.685, 0.154, 0.742)
O (0.469, 0.315, 0.742)
O (0.846, 0.531, 0.742)
O (0.685, 0.531, 0.242)
O (0.846, 0.315, 0.242)
O (0.469, 0.154, 0.242)
O (0.639, 0.506, 0.925)
O (0.867, 0.361, 0.925)
O (0.494, 0.133, 0.925)
O (0.639, 0.133, 0.425)
O (0.494, 0.361, 0.425)
O (0.867, 0.506, 0.425)
O (0.361, 0.491, 0.073)
O (0.131, 0.639, 0.073)
O (0.509, 0.869, 0.073)
O (0.361, 0.869, 0.573)
O (0.509, 0.639, 0.573)
O (0.131, 0.491, 0.573)
O (0.309, 0.839, 0.261)
O (0.530, 0.691, 0.261)
O (0.161, 0.470, 0.261)
O (0.309, 0.470, 0.761)
O (0.161, 0.691, 0.761)
O (0.530, 0.839, 0.761)

Values from the calculation:
Total moment ... 0.001 Bohr magnetons per cell


For each record above, in turn, the calculated total energy after the MP2020 corrections values are -20.66 -357.33 eV per formula unit.
For each record above, in turn, the calculated calculated density values are 9555 2583 kg/m3.
For each record above, in turn, the calculated energy of formation from the pure elements values are -0.70 -2.26 eV per atom.